Compound: LiPd7
Source: the Materials Project database
Functional: r²SCAN
Structure: optimized geometry

**Energy relative to the elements**: -0.16 eV per atom

Unit cell a=7.771 b=7.771 c=7.771 alpha=90.00 beta=90.00 gamma=90.00
Space group Fm-3m (No. 225)
Inequivalent atoms, fractional coordinates:
Li 0.000 0.000 0.000
Pd 0.000 0.000 0.500
Pd 0.000 0.250 0.250